(1)
{"formula": "Li3Mn2F9", "functional": "PBE with a Hubbard U", "state": "relaxed", "lattice_angstrom": [[5.2981, 0.0000, 0.0000], [-2.5325, 4.6884, 0.0000], [-0.8389, -1.0808, 15.1155]], "species": ["Li", "Li", "Li", "Li", "Li", "Li", "Mn", "Mn", "Mn", "Mn", "F", "F", "F", "F", "F", "F", "F", "F", "F", "F", "F", "F", "F", "F", "F", "F", "F", "F"], "frac_coords": [[0.0000, 0.0000, 0.0000], [0.0363, 0.6487, 0.2986], [0.1672, 0.8080, 0.4971], [0.6904, 0.7457, 0.5906], [0.8278, 0.8677, 0.7990], [0.9112, 0.5100, 0.0873], [0.0939, 0.4576, 0.6954], [0.2730, 0.5988, 0.8964], [0.6289, 0.9216, 0.1946], [0.7647, 0.0876, 0.3950], [0.0024, 0.6667, 0.6030], [0.0665, 0.3868, 0.9907], [0.0874, 0.1027, 0.4505], [0.1734, 0.2523, 0.8313], [0.2326, 0.6522, 0.1747], [0.2907, 0.9211, 0.9488], [0.3594, 0.4331, 0.6288], [0.4075, 0.7640, 0.7794], [0.4158, 0.9992, 0.3308], [0.5541, 0.8795, 0.4899], [0.5947, 0.1767, 0.1235], [0.6979, 0.7120, 0.2820], [0.6987, 0.7426, 0.9180], [0.8351, 0.0567, 0.6774], [0.8458, 0.8288, 0.1055], [0.8693, 0.5219, 0.7756], [0.9165, 0.5090, 0.4156], [0.9287, 0.2368, 0.2756]], "e_tot_ev_per_atom": -5.310, "e_form_ev_per_fu": -40.548, "space_group": "P1 (1)"}



(2)
{"formula": "ZnCoMo2O7", "functional": "PBE with a Hubbard U", "state": "relaxed", "lattice_angstrom": [[6.6798, 0.0000, 0.0000], [0.0000, 15.2132, 0.0000], [-3.0452, 0.0000, 11.8264]], "species": ["Zn", "Zn", "Zn", "Zn", "Zn", "Zn", "Zn", "Zn", "Co", "Co", "Co", "Co", "Co", "Co", "Co", "Co", "Mo", "Mo", "Mo", "Mo", "Mo", "Mo", "Mo", "Mo", "Mo", "Mo", "Mo", "Mo", "Mo", "Mo", "Mo", "Mo", "O", "O", "O", "O", "O", "O", "O", "O", "O", "O", "O", "O", "O", "O", "O", "O", "O", "O", "O", "O", "O", "O", "O", "O", "O", "O", "O", "O", "O", "O", "O", "O", "O", "O", "O", "O", "O", "O", "O", "O", "O", "O", "O", "O", "O", "O", "O", "O", "O", "O", "O", "O", "O", "O", "O", "O"], "frac_coords": [[0.0360, 0.0228, 0.2548], [0.0360, 0.4772, 0.7548], [0.3495, 0.1368, 0.0248], [0.3495, 0.3632, 0.5248], [0.6505, 0.6368, 0.4752], [0.6505, 0.8632, 0.9752], [0.9640, 0.5228, 0.2452], [0.9640, 0.9772, 0.7452], [0.0214, 0.7354, 0.2521], [0.0214, 0.7646, 0.7521], [0.3467, 0.6395, 0.9117], [0.3467, 0.8605, 0.4117], [0.6533, 0.1395, 0.5883], [0.6533, 0.3605, 0.0883], [0.9786, 0.2354, 0.2479], [0.9786, 0.2646, 0.7479], [0.1426, 0.1413, 0.5203], [0.1426, 0.3587, 0.0203], [0.1427, 0.6032, 0.5051], [0.1427, 0.8968, 0.0051], [0.4394, 0.5363, 0.1961], [0.4394, 0.9637, 0.6961], [0.4852, 0.7405, 0.1920], [0.4852, 0.7595, 0.6920], [0.5148, 0.2405, 0.3080], [0.5148, 0.2595, 0.8080], [0.5606, 0.0363, 0.3039], [0.5606, 0.4637, 0.8039], [0.8573, 0.1032, 0.9949], [0.8573, 0.3968, 0.4949], [0.8574, 0.6413, 0.9797], [0.8574, 0.8587, 0.4797], [0.0244, 0.1373, 0.3702], [0.0244, 0.3627, 0.8702], [0.0444, 0.6293, 0.3496], [0.0444, 0.8707, 0.8496], [0.0454, 0.6690, 0.9009], [0.0454, 0.8310, 0.4009], [0.0511, 0.1667, 0.9410], [0.0511, 0.3333, 0.4410], [0.2196, 0.0107, 0.0481], [0.2196, 0.4893, 0.5481], [0.2497, 0.0106, 0.7716], [0.2501, 0.0339, 0.5510], [0.2501, 0.4661, 0.0510], [0.2497, 0.4894, 0.2716], [0.2582, 0.2204, 0.7845], [0.2582, 0.2796, 0.2845], [0.2886, 0.7095, 0.7599], [0.2886, 0.7905, 0.2599], [0.3074, 0.5285, 0.8162], [0.3074, 0.9715, 0.3162], [0.3669, 0.2112, 0.5560], [0.3669, 0.2888, 0.0560], [0.4055, 0.6391, 0.0864], [0.4059, 0.6656, 0.5493], [0.4059, 0.8344, 0.0493], [0.4055, 0.8609, 0.5864], [0.4502, 0.1401, 0.1968], [0.4502, 0.3599, 0.6968], [0.5498, 0.6401, 0.3032], [0.5498, 0.8599, 0.8032], [0.5945, 0.1391, 0.4136], [0.5941, 0.1656, 0.9507], [0.5941, 0.3344, 0.4507], [0.5945, 0.3609, 0.9136], [0.6331, 0.7112, 0.9440], [0.6331, 0.7888, 0.4440], [0.6926, 0.0285, 0.6838], [0.6926, 0.4715, 0.1838], [0.7114, 0.2095, 0.7401], [0.7114, 0.2905, 0.2401], [0.7418, 0.7204, 0.7155], [0.7418, 0.7796, 0.2155], [0.7503, 0.5106, 0.7284], [0.7499, 0.5339, 0.9490], [0.7499, 0.9661, 0.4490], [0.7503, 0.9894, 0.2284], [0.7804, 0.5107, 0.4519], [0.7804, 0.9893, 0.9519], [0.9489, 0.6667, 0.5590], [0.9489, 0.8333, 0.0590], [0.9546, 0.1690, 0.5991], [0.9546, 0.3310, 0.0991], [0.9556, 0.1293, 0.1504], [0.9556, 0.3707, 0.6504], [0.9756, 0.6373, 0.1298], [0.9756, 0.8627, 0.6298]], "e_tot_ev_per_atom": -6.403, "e_form_ev_per_fu": -18.584, "space_group": "P2_1/c (14)"}



(3)
{"formula": "Li3V3P8O29", "functional": "PBE with a Hubbard U", "state": "relaxed", "lattice_angstrom": [[8.4687, -4.8783, 0.0000], [8.4687, 4.8783, 0.0000], [-0.0013, 0.0000, 13.8942]], "species": ["Li", "Li", "Li", "Li", "Li", "Li", "V", "V", "V", "V", "V", "V", "P", "P", "P", "P", "P", "P", "P", "P", "P", "P", "P", "P", "P", "P", "P", "P", "O", "O", "O", "O", "O", "O", "O", "O", "O", "O", "O", "O", "O", "O", "O", "O", "O", "O", "O", "O", "O", "O", "O", "O", "O", "O", "O", "O", "O", "O", "O", "O", "O", "O", "O", "O", "O", "O", "O", "O", "O", "O", "O", "O", "O", "O", "O", "O", "O", "O", "O", "O", "O", "O", "O", "O", "O", "O"], "frac_coords": [[0.2061, 0.7939, 0.5000], [0.3407, 0.7995, 0.9968], [0.4376, 0.8915, 0.3814], [0.7939, 0.2061, 0.0000], [0.7995, 0.3407, 0.4968], [0.8915, 0.4376, 0.8814], [0.1098, 0.6823, 0.6940], [0.1186, 0.5470, 0.1896], [0.5470, 0.1186, 0.6896], [0.5494, 0.6815, 0.1880], [0.6823, 0.1098, 0.1940], [0.6815, 0.5494, 0.6880], [0.0299, 0.8862, 0.0970], [0.0335, 0.4284, 0.5935], [0.2017, 0.3429, 0.7823], [0.2018, 0.8001, 0.2834], [0.3429, 0.2017, 0.2823], [0.3434, 0.7993, 0.7816], [0.4284, 0.0335, 0.0935], [0.4323, 0.8892, 0.5988], [0.4474, 0.4506, 0.5667], [0.4506, 0.4474, 0.0667], [0.7789, 0.7838, 0.8126], [0.7838, 0.7789, 0.3126], [0.7993, 0.3434, 0.2816], [0.8001, 0.2018, 0.7834], [0.8862, 0.0299, 0.5970], [0.8892, 0.4323, 0.0988], [0.0224, 0.7332, 0.1161], [0.0234, 0.5908, 0.6170], [0.0319, 0.4571, 0.1026], [0.0320, 0.8601, 0.5996], [0.1110, 0.3566, 0.8705], [0.1117, 0.9108, 0.1929], [0.1153, 0.3230, 0.6890], [0.1158, 0.3516, 0.5039], [0.1223, 0.8769, 0.0103], [0.1235, 0.8710, 0.3760], [0.2011, 0.7728, 0.7730], [0.2020, 0.3724, 0.2752], [0.2097, 0.4980, 0.7636], [0.2111, 0.6390, 0.2630], [0.2994, 0.6025, 0.6073], [0.3022, 0.4503, 0.1130], [0.3216, 0.9105, 0.6898], [0.3230, 0.1153, 0.1890], [0.3516, 0.1158, 0.0039], [0.3566, 0.1110, 0.3705], [0.3571, 0.8688, 0.8731], [0.3596, 0.8720, 0.5080], [0.3724, 0.2020, 0.7752], [0.3724, 0.7770, 0.2778], [0.4466, 0.6033, 0.1096], [0.4503, 0.3022, 0.6130], [0.4501, 0.4568, 0.9599], [0.4564, 0.8601, 0.1016], [0.4571, 0.0319, 0.6026], [0.4568, 0.4501, 0.4599], [0.4980, 0.2097, 0.2636], [0.4983, 0.6387, 0.7601], [0.5908, 0.0234, 0.1170], [0.5938, 0.7347, 0.6169], [0.6025, 0.2994, 0.1073], [0.6033, 0.4466, 0.6096], [0.6294, 0.7844, 0.2703], [0.6346, 0.9312, 0.7664], [0.6390, 0.2111, 0.7630], [0.6387, 0.4983, 0.2601], [0.7332, 0.0224, 0.6161], [0.7347, 0.5938, 0.1169], [0.7728, 0.2011, 0.2730], [0.7770, 0.3724, 0.7778], [0.7770, 0.7852, 0.4192], [0.7825, 0.9299, 0.2670], [0.7844, 0.6294, 0.7703], [0.7852, 0.7770, 0.9192], [0.8601, 0.0320, 0.0996], [0.8601, 0.4564, 0.6016], [0.8688, 0.3571, 0.3731], [0.8710, 0.1235, 0.8760], [0.8720, 0.3596, 0.0080], [0.8769, 0.1223, 0.5103], [0.9105, 0.3216, 0.1898], [0.9108, 0.1117, 0.6929], [0.9299, 0.7825, 0.7670], [0.9312, 0.6346, 0.2664]], "relative_energy_kj_per_mol_atoms": 2.0, "e_tot_ev_per_atom": -7.042, "e_form_ev_per_fu": -108.041, "space_group": "Cc (9)"}



(4)
{"formula": "BaCoO2", "functional": "PBE with a Hubbard U", "state": "relaxed", "lattice_angstrom": [[0.0000, 4.3239, 4.3239], [4.3239, 0.0000, 4.3239], [4.3239, 4.3239, 0.0000]], "species": ["Ba", "Ba", "Co", "Co", "O", "O", "O", "O"], "frac_coords": [[0.1250, 0.1250, 0.1250], [0.8750, 0.8750, 0.8750], [0.3750, 0.3750, 0.3750], [0.6250, 0.6250, 0.6250], [0.0000, 0.5000, 0.5000], [0.5000, 0.0000, 0.5000], [0.5000, 0.5000, 0.0000], [0.5000, 0.5000, 0.5000]], "e_tot_ev_per_atom": -5.335, "e_form_ev_per_fu": -5.427, "space_group": "Fd-3m (227)"}



(5)
{"formula": "BaLa2WO7", "functional": "PBE with a Hubbard U", "state": "relaxed", "lattice_angstrom": [[9.0347, 0.0000, 0.0000], [0.0000, 5.9003, 0.0000], [-3.4232, 0.0000, 12.5347]], "species": ["Ba", "Ba", "Ba", "Ba", "La", "La", "La", "La", "La", "La", "La", "La", "W", "W", "W", "W", "O", "O", "O", "O", "O", "O", "O", "O", "O", "O", "O", "O", "O", "O", "O", "O", "O", "O", "O", "O", "O", "O", "O", "O", "O", "O", "O", "O"], "frac_coords": [[0.0000, 0.2313, 0.0000], [0.0000, 0.7687, 0.5000], [0.0351, 0.2649, 0.7299], [0.0351, 0.7351, 0.2299], [0.3234, 0.2384, 0.2808], [0.3234, 0.7616, 0.7808], [0.4519, 0.2679, 0.9964], [0.4519, 0.7321, 0.4964], [0.5854, 0.2302, 0.7362], [0.5854, 0.7698, 0.2362], [0.7130, 0.2642, 0.4487], [0.7130, 0.7358, 0.9487], [0.2355, 0.2768, 0.5263], [0.2355, 0.7232, 0.0263], [0.7969, 0.2259, 0.2028], [0.7969, 0.7741, 0.7028], [0.0117, 0.2326, 0.2074], [0.0117, 0.7674, 0.7074], [0.0184, 0.2789, 0.5196], [0.0184, 0.7211, 0.0196], [0.2143, 0.4904, 0.4057], [0.2143, 0.5096, 0.9057], [0.2235, 0.0186, 0.4311], [0.2235, 0.9814, 0.9311], [0.2579, 0.4435, 0.1157], [0.2579, 0.5565, 0.6157], [0.2769, 0.0911, 0.6556], [0.2769, 0.9089, 0.1556], [0.4605, 0.2987, 0.5478], [0.4605, 0.7013, 0.0478], [0.5131, 0.4870, 0.8561], [0.5131, 0.5130, 0.3561], [0.5233, 0.0114, 0.8756], [0.5233, 0.9886, 0.3756], [0.5725, 0.2056, 0.1876], [0.5725, 0.7944, 0.6876], [0.7479, 0.4000, 0.0699], [0.7479, 0.6000, 0.5699], [0.7719, 0.0575, 0.6150], [0.7719, 0.9425, 0.1150], [0.8103, 0.4877, 0.2964], [0.8103, 0.5123, 0.7964], [0.8246, 0.0120, 0.3237], [0.8246, 0.9880, 0.8237]], "e_tot_ev_per_atom": -7.849, "e_form_ev_per_fu": -36.200, "space_group": "Pc (7)"}



(6)
{"formula": "VH10N2O2F4", "functional": "PBE with a Hubbard U", "state": "relaxed", "lattice_angstrom": [[7.0796, 0.0000, 0.0000], [0.0000, 9.8078, 0.0000], [-2.0805, 0.0000, 10.1015]], "species": ["V", "V", "V", "V", "H", "H", "H", "H", "H", "H", "H", "H", "H", "H", "H", "H", "H", "H", "H", "H", "H", "H", "H", "H", "H", "H", "H", "H", "H", "H", "H", "H", "H", "H", "H", "H", "H", "H", "H", "H", "H", "H", "H", "H", "N", "N", "N", "N", "N", "N", "N", "N", "O", "O", "O", "O", "O", "O", "O", "O", "F", "F", "F", "F", "F", "F", "F", "F", "F", "F", "F", "F", "F", "F", "F", "F"], "frac_coords": [[0.2299, 0.0460, 0.2498], [0.2299, 0.4540, 0.7498], [0.7701, 0.5460, 0.2502], [0.7701, 0.9540, 0.7502], [0.0474, 0.1278, 0.9362], [0.0474, 0.3722, 0.4362], [0.0533, 0.7248, 0.6817], [0.0533, 0.7752, 0.1817], [0.1055, 0.0645, 0.6572], [0.1055, 0.4355, 0.1572], [0.2065, 0.1959, 0.5895], [0.2065, 0.3041, 0.0895], [0.2205, 0.0333, 0.5328], [0.2205, 0.4667, 0.0328], [0.2582, 0.6212, 0.3914], [0.2582, 0.8788, 0.8914], [0.3380, 0.7255, 0.9437], [0.3380, 0.7745, 0.4437], [0.3494, 0.0810, 0.6850], [0.3494, 0.4190, 0.1850], [0.3765, 0.6418, 0.5524], [0.3765, 0.8582, 0.0524], [0.4989, 0.1497, 0.0697], [0.4989, 0.3503, 0.5697], [0.5011, 0.6497, 0.4303], [0.5011, 0.8503, 0.9303], [0.6235, 0.1418, 0.9476], [0.6235, 0.3582, 0.4476], [0.6506, 0.5810, 0.8150], [0.6506, 0.9190, 0.3150], [0.6620, 0.2255, 0.5563], [0.6620, 0.2745, 0.0563], [0.7418, 0.1212, 0.1086], [0.7418, 0.3788, 0.6086], [0.7795, 0.5333, 0.9672], [0.7795, 0.9667, 0.4672], [0.7935, 0.6959, 0.9105], [0.7935, 0.8041, 0.4105], [0.8945, 0.5645, 0.8428], [0.8945, 0.9355, 0.3428], [0.9467, 0.2248, 0.8183], [0.9467, 0.2752, 0.3183], [0.9526, 0.6278, 0.5638], [0.9526, 0.8722, 0.0638], [0.2198, 0.0939, 0.6158], [0.2198, 0.4061, 0.1158], [0.3695, 0.6709, 0.4544], [0.3695, 0.8291, 0.9544], [0.6305, 0.1709, 0.0456], [0.6305, 0.3291, 0.5456], [0.7802, 0.5939, 0.8842], [0.7802, 0.9061, 0.3842], [0.0655, 0.6365, 0.6378], [0.0655, 0.8635, 0.1378], [0.3474, 0.1694, 0.3390], [0.3474, 0.3306, 0.8390], [0.6526, 0.6694, 0.1610], [0.6526, 0.8306, 0.6610], [0.9345, 0.1365, 0.8622], [0.9345, 0.3635, 0.3622], [0.0369, 0.6128, 0.2575], [0.0369, 0.8872, 0.7575], [0.2040, 0.5742, 0.8998], [0.2040, 0.9258, 0.3998], [0.2237, 0.1225, 0.0700], [0.2237, 0.3775, 0.5700], [0.4443, 0.5644, 0.7137], [0.4443, 0.9356, 0.2137], [0.5557, 0.0644, 0.7863], [0.5557, 0.4356, 0.2863], [0.7763, 0.6225, 0.4300], [0.7763, 0.8775, 0.9300], [0.7960, 0.0742, 0.6002], [0.7960, 0.4258, 0.1002], [0.9631, 0.1128, 0.2425], [0.9631, 0.3872, 0.7425]], "e_tot_ev_per_atom": -5.252, "e_form_ev_per_fu": -27.470, "space_group": "P2_1/c (14)"}



(7)
{"formula": "Mn9Al2Si8H8O32", "functional": "PBE with a Hubbard U", "state": "relaxed", "lattice_angstrom": [[7.7384, 0.0000, 0.0000], [-0.5961, 8.4232, 0.0000], [-2.6309, -2.7157, 9.7970]], "species": ["Mn", "Mn", "Mn", "Mn", "Mn", "Mn", "Mn", "Mn", "Mn", "Al", "Al", "Si", "Si", "Si", "Si", "Si", "Si", "Si", "Si", "H", "H", "H", "H", "H", "H", "H", "H", "O", "O", "O", "O", "O", "O", "O", "O", "O", "O", "O", "O", "O", "O", "O", "O", "O", "O", "O", "O", "O", "O", "O", "O", "O", "O", "O", "O", "O", "O", "O", "O"], "frac_coords": [[0.0000, 0.0000, 0.0000], [0.1229, 0.1639, 0.5573], [0.1392, 0.3905, 0.0699], [0.4200, 0.1628, 0.2015], [0.4487, 0.4310, 0.7274], [0.5513, 0.5690, 0.2726], [0.5800, 0.8372, 0.7985], [0.8608, 0.6095, 0.9301], [0.8771, 0.8361, 0.4427], [0.2677, 0.7798, 0.1316], [0.7323, 0.2202, 0.8684], [0.1789, 0.7445, 0.7995], [0.2063, 0.4313, 0.3968], [0.3003, 0.8098, 0.4512], [0.3141, 0.1152, 0.8580], [0.6859, 0.8848, 0.1420], [0.6997, 0.1902, 0.5488], [0.7937, 0.5687, 0.6032], [0.8211, 0.2555, 0.2005], [0.0189, 0.3277, 0.8063], [0.1374, 0.9863, 0.2697], [0.3897, 0.5764, 0.9903], [0.4995, 0.0147, 0.6246], [0.5005, 0.9853, 0.3754], [0.6103, 0.4236, 0.0097], [0.8626, 0.0137, 0.7303], [0.9811, 0.6723, 0.1937], [0.0096, 0.6330, 0.6758], [0.0558, 0.6371, 0.1320], [0.1204, 0.7674, 0.9436], [0.1380, 0.9251, 0.4409], [0.1774, 0.9817, 0.1874], [0.1996, 0.9286, 0.7710], [0.2238, 0.6311, 0.4626], [0.2479, 0.1662, 0.9986], [0.2566, 0.2432, 0.7641], [0.2747, 0.3472, 0.5208], [0.3134, 0.3946, 0.2780], [0.3558, 0.5771, 0.0743], [0.3631, 0.6632, 0.8046], [0.3859, 0.7900, 0.3210], [0.4621, 0.8921, 0.5960], [0.4714, 0.9052, 0.1159], [0.5286, 0.0948, 0.8841], [0.5379, 0.1079, 0.4040], [0.6141, 0.2100, 0.6790], [0.6369, 0.3368, 0.1954], [0.6442, 0.4229, 0.9257], [0.6866, 0.6054, 0.7220], [0.7253, 0.6528, 0.4792], [0.7434, 0.7568, 0.2359], [0.7521, 0.8338, 0.0014], [0.7762, 0.3689, 0.5374], [0.8004, 0.0714, 0.2290], [0.8226, 0.0183, 0.8126], [0.8620, 0.0749, 0.5591], [0.8796, 0.2326, 0.0564], [0.9442, 0.3629, 0.8680], [0.9904, 0.3670, 0.3242]], "e_tot_ev_per_atom": -7.298, "e_form_ev_per_fu": -148.735, "space_group": "P-1 (2)"}